Entry 1:
VP3O9 | PBE with a Hubbard U | relaxed

Calculated values
Space group: Cc
Crystal system: monoclinic
Offset from the most stable computed form, eV per atom: 0.0000

Cell: 11.818 11.818 9.629 Å, 69.85 69.85 110.56°
Sites, in units of the cell vectors:
V  0.171  0.331  0.499
V  0.331  0.171  0.999
V  0.842  0.665  0.496
V  0.665  0.842  0.996
V  0.477  0.986  0.533
V  0.986  0.477  0.033
P  0.833  0.120  0.289
P  0.120  0.833  0.789
P  0.535  0.495  0.226
P  0.495  0.535  0.726
P  0.189  0.816  0.246
P  0.816  0.189  0.746
P  0.801  0.404  0.847
P  0.404  0.801  0.347
P  0.460  0.734  0.847
P  0.734  0.460  0.347
P  0.147  0.084  0.821
P  0.084  0.147  0.321
P  0.183  0.576  0.196
P  0.576  0.183  0.696
P  0.518  0.244  0.189
P  0.244  0.518  0.689
P  0.871  0.924  0.161
P  0.924  0.871  0.661
O  0.386  0.423  0.373
O  0.423  0.386  0.873
O  0.957  0.224  0.614
O  0.224  0.957  0.114
O  0.149  0.149  0.654
O  0.149  0.149  0.154
O  0.168  0.278  0.317
O  0.278  0.168  0.817
O  0.185  0.512  0.359
O  0.512  0.185  0.859
O  0.172  0.392  0.677
O  0.392  0.172  0.177
O  0.638  0.600  0.571
O  0.600  0.638  0.071
O  0.047  0.723  0.415
O  0.723  0.047  0.915
O  0.769  0.483  0.721
O  0.483  0.769  0.221
O  0.838  0.569  0.358
O  0.569  0.838  0.858
O  0.908  0.846  0.279
O  0.846  0.908  0.779
O  0.839  0.767  0.627
O  0.767  0.839  0.127
O  0.266  0.916  0.629
O  0.916  0.266  0.129
O  0.689  0.069  0.432
O  0.069  0.689  0.932
O  0.491  0.912  0.371
O  0.912  0.491  0.871
O  0.420  0.795  0.721
O  0.795  0.420  0.221
O  0.486  0.055  0.698
O  0.055  0.486  0.198
O  0.512  0.170  0.356
O  0.170  0.512  0.856
O  0.851  0.312  0.787
O  0.312  0.851  0.287
O  0.281  0.659  0.533
O  0.659  0.281  0.033
O  0.513  0.636  0.803
O  0.636  0.513  0.303
O  0.615  0.323  0.537
O  0.323  0.615  0.037
O  0.106  0.923  0.879
O  0.923  0.106  0.379
O  0.056  0.012  0.478
O  0.012  0.056  0.978
O  0.207  0.731  0.148
O  0.731  0.207  0.648
O  0.554  0.402  0.144
O  0.402  0.554  0.644
O  0.810  0.005  0.234
O  0.005  0.810  0.734


Entry 2:
Sr3Co2Cl2O4 | PBE with a Hubbard U | relaxed

Calculated values
Offset from the most stable computed form, eV per atom: 0.0000

Cell: 5.744 5.745 11.626 Å, 90.00 75.72 90.00°
Sites, in units of the cell vectors:
Sr  0.500  0.500  0.000
Sr  0.000  0.000  0.000
Sr  0.149  0.000  0.702
Sr  0.649  0.500  0.702
Sr  0.351  0.500  0.298
Sr  0.851  0.000  0.298
Co  0.419  0.000  0.161
Co  0.081  0.500  0.839
Co  0.920  0.500  0.161
Co  0.580  0.000  0.839
Cl  0.300  0.000  0.399
Cl  0.800  0.500  0.399
Cl  0.200  0.500  0.601
Cl  0.700  0.000  0.601
O  0.828  0.250  0.845
O  0.327  0.750  0.845
O  0.327  0.250  0.845
O  0.828  0.750  0.845
O  0.672  0.250  0.155
O  0.173  0.750  0.155
O  0.173  0.250  0.155
O  0.672  0.750  0.155


Entry 3:
K5HfInMo6O24 | PBE with a Hubbard U | relaxed

Calculated values
Space group: R-3c
Crystal system: trigonal

Cell: 14.193 14.193 14.193 Å, 44.60 44.60 44.60°
Sites, in units of the cell vectors:
K  0.147  0.147  0.147
K  0.353  0.353  0.353
K  0.750  0.136  0.364
K  0.136  0.364  0.750
K  0.364  0.750  0.136
K  0.636  0.250  0.864
K  0.864  0.636  0.250
K  0.250  0.864  0.636
K  0.647  0.647  0.647
K  0.853  0.853  0.853
Hf  0.000  0.000  0.000
Hf  0.500  0.500  0.500
In  0.250  0.250  0.250
In  0.750  0.750  0.750
Mo  0.619  0.022  0.262
Mo  0.022  0.262  0.619
Mo  0.262  0.619  0.022
Mo  0.522  0.119  0.762
Mo  0.762  0.522  0.119
Mo  0.881  0.238  0.478
Mo  0.119  0.762  0.522
Mo  0.238  0.478  0.881
Mo  0.478  0.881  0.238
Mo  0.738  0.381  0.978
Mo  0.978  0.738  0.381
Mo  0.381  0.978  0.738
O  0.321  0.028  0.303
O  0.028  0.303  0.321
O  0.303  0.321  0.028
O  0.472  0.179  0.197
O  0.179  0.197  0.472
O  0.197  0.472  0.179
O  0.618  0.070  0.347
O  0.199  0.004  0.896
O  0.070  0.347  0.618
O  0.896  0.199  0.004
O  0.407  0.143  0.611
O  0.347  0.618  0.070
O  0.611  0.407  0.143
O  0.357  0.093  0.889
O  0.143  0.611  0.407
O  0.004  0.896  0.199
O  0.889  0.357  0.093
O  0.496  0.301  0.604
O  0.882  0.153  0.430
O  0.570  0.118  0.847
O  0.604  0.496  0.301
O  0.153  0.430  0.882
O  0.301  0.604  0.496
O  0.093  0.889  0.357
O  0.907  0.111  0.643
O  0.699  0.396  0.504
O  0.847  0.570  0.118
O  0.396  0.504  0.699
O  0.430  0.882  0.153
O  0.118  0.847  0.570
O  0.504  0.699  0.396
O  0.111  0.643  0.907
O  0.996  0.104  0.801
O  0.857  0.389  0.593
O  0.643  0.907  0.111
O  0.389  0.593  0.857
O  0.653  0.382  0.930
O  0.593  0.857  0.389
O  0.104  0.801  0.996
O  0.930  0.653  0.382
O  0.801  0.996  0.104
O  0.382  0.930  0.653
O  0.803  0.528  0.821
O  0.821  0.803  0.528
O  0.528  0.821  0.803
O  0.697  0.679  0.972
O  0.972  0.697  0.679
O  0.679  0.972  0.697


Entry 4:
MgMn3VO8 | PBE with a Hubbard U | relaxed

Calculated values
Space group: P-1
Crystal system: triclinic
Offset from the most stable computed form, eV per atom: 0.0046

Cell: 10.564 10.519 14.951 Å, 19.18 19.16 33.01°
Sites, in units of the cell vectors:
Mg  0.000  0.500  0.500
Mn  0.000  0.500  0.000
Mn  0.500  0.000  0.000
Mn  0.500  0.500  0.000
V  0.000  0.000  0.000
O  0.000  0.952  0.295
O  0.999  0.494  0.272
O  0.549  0.042  0.203
O  0.000  0.048  0.705
O  0.451  0.495  0.300
O  0.001  0.506  0.728
O  0.451  0.958  0.797
O  0.549  0.505  0.700


Entry 5:
CoH2O2 | PBE with a Hubbard U | relaxed

Calculated values
Space group: P1
Crystal system: triclinic
Offset from the most stable computed form, eV per atom: 0.0007

Cell: 3.220 5.555 10.047 Å, 106.21 80.17 90.28°
Sites, in units of the cell vectors:
Co  0.189  0.750  0.500
Co  0.939  0.000  0.000
Co  0.689  0.250  0.500
Co  0.440  0.500  0.000
H  0.291  0.313  0.288
H  0.033  0.564  0.788
H  0.798  0.818  0.287
H  0.536  0.062  0.788
H  0.835  0.438  0.212
H  0.569  0.684  0.712
H  0.335  0.935  0.212
H  0.079  0.185  0.712
O  0.242  0.365  0.391
O  0.991  0.614  0.890
O  0.751  0.865  0.390
O  0.490  0.114  0.891
O  0.886  0.386  0.110
O  0.627  0.636  0.610
O  0.388  0.886  0.110
O  0.136  0.135  0.609


Entry 6:
Mn2Zn3Si3O12 | PBE with a Hubbard U | relaxed

Calculated values
Space group: I4_1/acd
Crystal system: tetragonal
Offset from the most stable computed form, eV per atom: 0.0000

Cell: 10.282 10.282 10.282 Å, 112.48 107.99 107.99°
Sites, in units of the cell vectors:
Mn  0.000  0.000  0.000
Mn  0.000  0.500  0.000
Mn  0.000  0.000  0.500
Mn  0.000  0.500  0.500
Mn  0.500  0.000  0.500
Mn  0.500  0.500  0.000
Mn  0.500  0.500  0.500
Mn  0.500  0.000  0.000
Zn  0.368  0.750  0.118
Zn  0.132  0.250  0.382
Zn  0.368  0.118  0.250
Zn  0.132  0.382  0.750
Zn  0.868  0.750  0.618
Zn  0.750  0.125  0.375
Zn  0.750  0.625  0.875
Zn  0.632  0.250  0.882
Zn  0.250  0.875  0.625
Zn  0.868  0.618  0.250
Zn  0.632  0.882  0.750
Zn  0.250  0.375  0.125
Si  0.250  0.125  0.875
Si  0.750  0.875  0.125
Si  0.375  0.250  0.625
Si  0.625  0.375  0.250
Si  0.125  0.750  0.875
Si  0.875  0.125  0.750
Si  0.750  0.375  0.625
Si  0.375  0.625  0.750
Si  0.125  0.875  0.250
Si  0.875  0.250  0.125
Si  0.625  0.750  0.375
Si  0.250  0.625  0.375
O  0.292  0.481  0.372
O  0.016  0.311  0.896
O  0.122  0.601  0.903
O  0.208  0.581  0.189
O  0.208  0.128  0.019
O  0.585  0.189  0.206
O  0.608  0.189  0.481
O  0.198  0.219  0.597
O  0.892  0.372  0.581
O  0.302  0.903  0.281
O  0.915  0.294  0.311
O  0.016  0.206  0.121
O  0.198  0.479  0.601
O  0.585  0.896  0.379
O  0.122  0.021  0.219
O  0.484  0.604  0.189
O  0.378  0.597  0.899
O  0.892  0.019  0.311
O  0.608  0.919  0.128
O  0.108  0.628  0.419
O  0.915  0.121  0.604
O  0.378  0.281  0.479
O  0.302  0.899  0.021
O  0.292  0.311  0.919
O  0.708  0.519  0.628
O  0.984  0.689  0.104
O  0.878  0.399  0.097
O  0.792  0.419  0.811
O  0.792  0.872  0.981
O  0.415  0.811  0.794
O  0.392  0.811  0.519
O  0.802  0.781  0.403
O  0.708  0.689  0.081
O  0.698  0.101  0.979
O  0.622  0.719  0.521
O  0.516  0.621  0.706
O  0.085  0.879  0.396
O  0.392  0.081  0.872
O  0.108  0.981  0.689
O  0.622  0.403  0.101
O  0.516  0.396  0.811
O  0.878  0.979  0.781
O  0.415  0.104  0.621
O  0.802  0.521  0.399
O  0.984  0.794  0.879
O  0.085  0.706  0.689
O  0.698  0.097  0.719
O  0.484  0.379  0.294


Entry 7:
Cs3FeF6 | PBE with a Hubbard U | relaxed

Calculated values
Space group: I4/mmm
Crystal system: tetragonal

Cell: 6.928 6.928 6.928 Å, 121.95 121.95 86.65°
Sites, in units of the cell vectors:
Cs  0.750  0.250  0.500
Cs  0.250  0.750  0.500
Cs  0.500  0.500  0.000
Fe  0.000  0.000  0.000
F  0.000  0.288  0.288
F  0.000  0.712  0.712
F  0.288  0.000  0.288
F  0.712  0.000  0.712
F  0.204  0.204  0.000
F  0.796  0.796  0.000


Entry 8:
CoCu3P4O16 | PBE with a Hubbard U | relaxed

Calculated values
Space group: Pm
Crystal system: monoclinic

Cell: 5.986 5.133 9.998 Å, 87.07 90.00 90.00°
Sites, in units of the cell vectors:
Co  0.000  0.065  0.707
Cu  0.500  0.877  0.310
Cu  0.500  0.645  0.808
Cu  0.000  0.369  0.189
P  0.000  0.920  0.395
P  0.000  0.566  0.892
P  0.500  0.446  0.111
P  0.500  0.077  0.603
O  0.000  0.865  0.548
O  0.200  0.779  0.329
O  0.800  0.779  0.329
O  0.500  0.777  0.634
O  0.500  0.739  0.139
O  0.193  0.734  0.822
O  0.807  0.734  0.822
O  0.000  0.611  0.045
O  0.500  0.420  0.957
O  0.698  0.287  0.175
O  0.302  0.287  0.175
O  0.000  0.277  0.868
O  0.000  0.218  0.364
O  0.708  0.209  0.664
O  0.292  0.209  0.664
O  0.500  0.111  0.448


no.,calculated total energy (eV per cell),energy relative to the elements (eV/atom),ρ (g cm⁻³)
1,-578.78,-2.65,2.9
2,-123.01,-2.25,4.6
3,-501.11,-2.27,3.8
4,-93.60,-2.16,3.9
5,-108.03,-1.25,3.6
6,-534.75,-2.38,4.6
7,-46.15,-2.85,4.1
8,-153.19,-1.90,3.4